A plane-wave DFT calculation with r²SCAN was carried out for SrIn4Pt after structural relaxation.

a = 4.5837 Å, b = 17.1591 Å, c = 7.5350 Å
α = 90.00°, β = 90.00°, γ = 90.00°
Space group Cmcm (No. 63)
Asymmetric unit:
Sr 0.0000 0.1258 0.2500
In 0.0000 0.0679 0.7500
In 0.0000 0.3155 0.0496
In 0.0000 0.5000 0.0000
Pt 0.0000 0.2244 0.7500

E_form	-59	kJ/mol of atoms